MgTa2Fe2O8 | PBE with a Hubbard U | relaxed

## Properties
The uncorrected energy is -0.3004 Ha/atom. For the formation enthalpy at 0 K, the calculation gives -2.649 eV per atom.

Lattice parameters (Å, degrees): 4.9661 5.1987 5.9706 90.00 90.00 91.06
Atoms (fractional coordinates):
Mg  0.0000  0.7500  0.3802
O  0.2103  0.9238  0.1236
O  0.2420  0.4195  0.3644
Ta  0.0000  0.2500  0.1489
Fe  0.5000  0.7500  0.3448
O  0.2461  0.8902  0.6257
Ta  0.0000  0.7500  0.8452
O  0.7916  0.0718  0.8885
O  0.2084  0.4282  0.8885
O  0.7897  0.5762  0.1236
O  0.7539  0.6098  0.6257
Fe  0.5000  0.2500  0.6576
O  0.7580  0.0805  0.3644